Below is a geometry-optimized PmAgAu2 structure, with properties calculated at the PBE level.

a b c (Å): 7.0590 7.0590 7.0590
angles (deg): 90.00 90.00 90.00
Last column: nearest neighbours and their distance in Å.
Sites, in units of the cell vectors:
Pm1 0.0000 0.0000 0.0000  8 Au 3.06
Pm2 0.0000 0.5000 0.5000  8 Au 3.06
Pm3 0.5000 0.0000 0.5000  8 Au 3.06
Pm4 0.5000 0.5000 0.0000  8 Au 3.06
Ag1 0.0000 0.0000 0.5000  8 Au 3.06
Ag2 0.0000 0.5000 0.0000  8 Au 3.06
Ag3 0.5000 0.0000 0.0000  8 Au 3.06
Ag4 0.5000 0.5000 0.5000  8 Au 3.06
Au1 0.2500 0.2500 0.2500  4 Pm 3.06, 4 Ag 3.06
Au2 0.2500 0.2500 0.7500  4 Pm 3.06, 4 Ag 3.06
Au3 0.2500 0.7500 0.2500  4 Pm 3.06, 4 Ag 3.06
Au4 0.2500 0.7500 0.7500  4 Pm 3.06, 4 Ag 3.06
Au5 0.7500 0.2500 0.2500  4 Pm 3.06, 4 Ag 3.06
Au6 0.7500 0.2500 0.7500  4 Pm 3.06, 4 Ag 3.06
Au7 0.7500 0.7500 0.2500  4 Pm 3.06, 4 Ag 3.06
Au8 0.7500 0.7500 0.7500  4 Pm 3.06, 4 Ag 3.06

Energy of formation (eV/atom): -0.582
Symmetry: No. 225